Compound: Na3TiF8
Source: Materials Project
Functional: meta-GGA r2SCAN
Structure: relaxed

Properties
As for the final energy: -170.41 eV per cell. Its magnetization is 1.000 μB per formula unit. For the volume, the calculation gives 315.4 Å³ per cell.

POSCAR file:
```
Na3TiF8
1.0
3.5579 -6.8352 0.0000
3.5579 6.8352 0.0000
0.0000 0.0000 6.4851
Na Ti F
6 2 16
Cartesian
1.7729 1.2988 4.8638
3.5579 4.4438 4.8638
1.7729 -1.2988 1.6213
5.3429 1.2988 4.8638
3.5579 -4.4438 1.6213
5.3429 -1.2988 1.6213
3.5579 2.0988 1.6213
3.5579 -2.0988 4.8638
2.1857 3.3824 1.6213
3.5579 5.8662 0.1878
3.5579 5.8662 3.0547
2.2310 0.8066 1.6213
3.5579 2.1168 3.5111
3.5579 2.1168 6.2166
2.2310 -0.8066 4.8638
4.9301 3.3824 1.6213
2.1857 -3.3824 4.8638
4.8848 0.8066 1.6213
3.5579 -2.1168 0.2685
3.5579 -2.1168 2.9740
4.8848 -0.8066 4.8638
3.5579 -5.8662 3.4304
3.5579 -5.8662 6.2973
4.9301 -3.3824 4.8638
```